Computed, not measured: a relaxed La2MnNiO6 crystal at the PBE+U level of DFT.

Cell and atoms, written as extended XYZ:
```
10
Lattice="-0.3296 -4.6035 -2.9748 2.5898 -4.5031 1.7795 -2.9799 -4.1941 1.9185" Properties=species:S:1:pos:R:3 pbc="T T T"
Ni -0.3599 -6.6503 0.3616
O -2.0631 -7.7155 -0.0510
O -0.7137 -5.5897 -1.3577
O -0.0061 -7.7109 2.0808
O 0.8064 -7.9094 -0.7611
O -1.5261 -5.3912 1.4842
O 1.3433 -5.5851 0.7741
La -0.1798 -3.3218 0.1806
La -0.5400 -9.9788 0.5425
Mn 0.0000 0.0000 0.0000
```

Spin magnetization   5.0 μB/f.u.
Crystal system   trigonal
SG   R-3
Calculated total energy   -74.41 eV per formula unit

=====

Computed, not measured: a relaxed Mn5Si4O14 crystal at the PBE+U level of DFT.

Cell and atoms, written as extended XYZ:
```
46
Lattice="7.7952 -0.1414 -0.5021 2.6578 6.5457 5.5297 1.7434 -8.0034 4.9681" Properties=species:S:1:pos:R:3 pbc="T T T"
Mn 2.3681 -2.2859 5.6900
Mn 6.4774 4.8636 5.7437
Mn 2.2804 0.8811 4.7892
Mn 5.4761 -6.5174 4.2713
Mn 6.1471 -0.7742 4.8772
Mn 4.3020 -2.7102 3.1279
Mn 10.4027 -3.5398 8.1840
Mn 1.8012 1.9155 1.8702
Mn 7.7423 -0.1643 -0.3805
Mn 7.8865 1.1372 6.8121
O 0.8881 -0.1319 1.7847
O 2.6995 -2.0487 1.9181
O 3.6513 -3.4557 6.8025
O 6.8173 1.0110 4.8624
O 7.0344 -0.8914 6.5409
O 6.0192 1.7383 2.4222
O 8.5987 2.1304 3.1353
O 2.9252 -0.5404 6.4362
O 11.2675 -1.5195 8.4375
O 9.3760 -1.2288 3.7314
O 6.2820 -3.3015 7.3634
O 5.2557 -5.1712 5.6752
O 2.5898 -3.6264 4.2852
O 4.1894 -5.3514 3.1623
O 4.5180 0.2886 0.7647
O 5.3902 -2.5461 4.9637
O 9.7282 4.5851 5.1567
O 7.5740 -1.7122 9.0549
O 5.2181 -0.6617 3.2149
O 8.9035 -2.7486 6.8371
O 7.8766 -2.6794 2.0706
O 4.2182 1.0437 8.1327
O 7.9531 3.4820 6.8964
O 9.7113 1.9566 5.8428
O 3.3991 1.2493 3.0801
O 2.4458 -6.2426 5.0125
O 9.3951 0.3455 8.1578
O 6.8208 3.6392 4.1932
Si 7.0334 2.1304 3.6533
Si 2.6538 -5.1777 3.7642
Si 7.5054 -2.1945 7.4623
Si 1.3474 -1.4919 2.6319
Si 10.7923 -0.2073 7.5284
Si 9.5155 3.4718 6.3733
Si 5.1878 -3.6221 6.2029
Si 4.7526 0.6947 2.3655
```

Spin magnetization   23.0 μB/f.u.
Energy above the most stable polymorph in this dataset   0.0 meV per atom
Crystal system   triclinic
SG   P1
Calculated total energy   -179.55 eV per formula unit

=====

Number 1: energy of formation from the pure elements -28.236 eV per formula unit. Number 2: energy of formation from the pure elements -60.726 eV per formula unit.